Entry 1:
Below is an optimized crystal structure of AgTe3I, with properties calculated at the PBE level.

abc: 5.1477 8.8062 16.4690
angles: 90.00 90.00 90.00
Atoms (fractional coordinates):
Ag 0.3006 0.7500 0.2500
Ag 0.3006 0.7500 0.7500
Ag 0.6994 0.2500 0.2500
Ag 0.6994 0.2500 0.7500
Te 0.3730 0.7179 0.0000
Te 0.6309 0.8589 0.1271
Te 0.3730 0.7821 0.5000
Te 0.3691 0.1411 0.8729
Te 0.6270 0.2179 0.5000
Te 0.6309 0.6411 0.3729
Te 0.3691 0.3589 0.3729
Te 0.6270 0.2821 0.0000
Te 0.3691 0.1411 0.1271
Te 0.6309 0.8589 0.8729
Te 0.3691 0.3589 0.6271
Te 0.6309 0.6411 0.6271
I 0.0000 0.0000 0.6780
I 0.0000 0.5000 0.8220
I 0.0000 0.5000 0.1780
I 0.0000 0.0000 0.3220

Output
Energy relative to the elements, eV per atom: -0.1702
Spin magnetization, μB/f.u.: 0.0



Entry 2:
Below is an optimized crystal structure of TlAgI2, with properties calculated at the PBE level.

abc: 7.1906 7.1906 7.1906
angles: 107.38 107.38 113.74
Atoms (fractional coordinates):
Tl 0.2500 0.2500 0.0000
Tl 0.7500 0.7500 0.0000
Ag 0.7500 0.2500 0.5000
Ag 0.2500 0.7500 0.5000
I 0.3226 0.8226 0.1452
I 0.8226 0.6774 0.5000
I 0.6774 0.1774 0.8548
I 0.1774 0.3226 0.5000

Output
Energy relative to the elements, eV per atom: -0.6389
Spin magnetization, μB/f.u.: 0.0



Entry 3:
Below is an optimized crystal structure of Tl2AgI3, with properties calculated at the PBE level.

abc: 9.1466 9.1466 9.1466
angles: 72.02 72.02 72.02
Atoms (fractional coordinates):
Tl 0.5543 0.3273 0.8883
Tl 0.8883 0.5543 0.3273
Tl 0.3273 0.8883 0.5543
Tl 0.4457 0.6727 0.1117
Tl 0.1117 0.4457 0.6727
Tl 0.6727 0.1117 0.4457
Ag 0.0000 0.0000 0.0000
Ag 0.8436 0.8436 0.8436
Ag 0.1564 0.1564 0.1564
I 0.6693 0.9101 0.1515
I 0.1515 0.6693 0.9101
I 0.9101 0.1515 0.6693
I 0.3307 0.0899 0.8485
I 0.8485 0.3307 0.0899
I 0.0899 0.8485 0.3307
I 0.7047 0.7047 0.7047
I 0.2953 0.2953 0.2953
I 0.5000 0.5000 0.5000

Output
Energy relative to the elements, eV per atom: -0.7108
Spin magnetization, μB/f.u.: 0.0



Entry 4:
Below is an optimized crystal structure of K2In3AgSe6, with properties calculated at the PBE level.

abc: 8.4159 8.4159 21.8088
angles: 84.33 84.33 89.87
Atoms (fractional coordinates):
K 0.1048 0.2074 0.0828
K 0.7926 0.8952 0.4172
K 0.8952 0.7926 0.9172
K 0.2074 0.1048 0.5828
K 0.6073 0.2504 0.0827
K 0.7496 0.3927 0.4173
K 0.3927 0.7496 0.9173
K 0.2504 0.6073 0.5827
In 0.7226 0.8492 0.6124
In 0.1508 0.2774 0.8876
In 0.2774 0.1508 0.3876
In 0.8492 0.7226 0.1124
In 0.7203 0.3499 0.6119
In 0.6501 0.2797 0.8881
In 0.2797 0.6501 0.3881
In 0.3499 0.7203 0.1119
In 0.9330 0.5599 0.7500
In 0.4401 0.0670 0.7500
In 0.0670 0.4401 0.2500
In 0.5599 0.9330 0.2500
Ag 0.4374 0.5626 0.7500
Ag 0.5626 0.4374 0.2500
Ag 0.9352 0.0648 0.7500
Ag 0.0648 0.9352 0.2500
Se 0.6954 0.6183 0.5401
Se 0.3817 0.3046 0.9599
Se 0.3046 0.3817 0.4599
Se 0.6183 0.6954 0.0401
Se 0.7841 0.1178 0.5404
Se 0.8822 0.2159 0.9596
Se 0.2159 0.8822 0.4596
Se 0.1178 0.7841 0.0403
Se 0.8253 0.9732 0.1754
Se 0.0268 0.1747 0.3246
Se 0.1747 0.0268 0.8246
Se 0.9732 0.8253 0.6754
Se 0.5606 0.1600 0.3248
Se 0.8400 0.4394 0.1752
Se 0.4394 0.8400 0.6752
Se 0.1600 0.5606 0.8248
Se 0.3371 0.9721 0.1746
Se 0.0279 0.6629 0.3254
Se 0.6629 0.0279 0.8254
Se 0.9721 0.3371 0.6746
Se 0.5630 0.6713 0.3252
Se 0.3287 0.4370 0.1748
Se 0.4370 0.3287 0.6748
Se 0.6713 0.5630 0.8252

Output
Energy relative to the elements, eV per atom: -0.9879
Energy above the lowest structure with this stoichiometry, kJ/mol of atoms: 0.0
Spin magnetization, μB/f.u.: 0.0



Entry 5:
Below is an optimized crystal structure of K2In3AgSe6, with properties calculated at the PBE level.

abc: 8.3964 8.3964 21.9300
angles: 84.42 84.42 90.14
Atoms (fractional coordinates):
K 0.6072 0.2509 0.5823
K 0.7491 0.3928 0.9177
K 0.8956 0.7921 0.4176
K 0.7921 0.8956 0.9176
K 0.3928 0.7491 0.4177
K 0.1044 0.2079 0.5824
K 0.2509 0.6072 0.0823
K 0.2079 0.1044 0.0824
In 0.2774 0.1518 0.8869
In 0.7226 0.8482 0.1131
In 0.9321 0.0679 0.2500
In 0.5596 0.4404 0.7500
In 0.6516 0.2790 0.3875
In 0.0679 0.9321 0.7500
In 0.3484 0.7210 0.6125
In 0.1518 0.2774 0.3869
In 0.8482 0.7226 0.6131
In 0.7210 0.3484 0.1125
In 0.4404 0.5596 0.2500
In 0.2790 0.6516 0.8875
Ag 0.4402 0.0666 0.2499
Ag 0.9334 0.5598 0.2501
Ag 0.0666 0.4402 0.7499
Ag 0.5598 0.9334 0.7501
Se 0.4380 0.3335 0.1754
Se 0.8295 0.4403 0.6766
Se 0.0275 0.6684 0.8247
Se 0.9714 0.8347 0.1771
Se 0.1653 0.0286 0.3229
Se 0.8836 0.2416 0.4599
Se 0.1164 0.7584 0.5401
Se 0.5597 0.1705 0.8234
Se 0.7584 0.1164 0.0401
Se 0.1705 0.5597 0.3234
Se 0.3335 0.4380 0.6754
Se 0.8347 0.9714 0.6771
Se 0.0286 0.1653 0.8229
Se 0.7222 0.6170 0.0400
Se 0.3316 0.9725 0.6753
Se 0.4403 0.8295 0.1766
Se 0.9725 0.3316 0.1753
Se 0.6170 0.7222 0.5400
Se 0.3830 0.2778 0.4600
Se 0.2778 0.3830 0.9600
Se 0.6684 0.0275 0.3247
Se 0.6665 0.5620 0.3246
Se 0.2416 0.8836 0.9599
Se 0.5620 0.6665 0.8246

Output
Energy relative to the elements, eV per atom: -0.9793
Energy above the lowest structure with this stoichiometry, kJ/mol of atoms: 0.8
Spin magnetization, μB/f.u.: 0.0



Entry 6:
Below is an optimized crystal structure of Li2InAg, with properties calculated at the PBE level.

abc: 4.6742 4.6742 4.6742
angles: 60.00 60.00 60.00
Atoms (fractional coordinates):
Li 0.2500 0.2500 0.2500
Li 0.5000 0.5000 0.5000
In 0.0000 0.0000 0.0000
Ag 0.7500 0.7500 0.7500

Output
Energy relative to the elements, eV per atom: -0.2897



Entry 7:
Below is an optimized crystal structure of LiIn2Ag, with properties calculated at the PBE level.

abc: 4.8660 4.8660 4.8660
angles: 60.00 60.00 60.00
Atoms (fractional coordinates):
Li 0.0000 0.0000 0.0000
In 0.2500 0.2500 0.2500
In 0.7500 0.7500 0.7500
Ag 0.5000 0.5000 0.5000

Output
Energy relative to the elements, eV per atom: -0.1553
Spin magnetization, μB/f.u.: 0.0



Entry 8:
Below is an optimized crystal structure of MgInAg2, with properties calculated at the PBE level.

abc: 4.7935 4.7935 4.7935
angles: 60.00 60.00 60.00
Atoms (fractional coordinates):
Mg 0.0000 0.0000 0.0000
In 0.5000 0.5000 0.5000
Ag 0.2500 0.2500 0.2500
Ag 0.7500 0.7500 0.7500

Output
Energy relative to the elements, eV per atom: -0.1528



Number 1: calculated volume 187 Å³/f.u., theoretical density 5.494 Mg/m³. Number 2: calculated volume 142 Å³/f.u., theoretical density 6.596 Mg/m³. Number 3: calculated volume 224 Å³/f.u., theoretical density 6.644 Mg/m³. Number 4: calculated volume 382 Å³/f.u., theoretical density 4.361 Mg/m³. Number 5: calculated volume 383 Å³/f.u., theoretical density 4.356 Mg/m³. Number 6: calculated volume 72 Å³/f.u., theoretical density 5.440 Mg/m³. Number 7: calculated volume 81 Å³/f.u., theoretical density 7.021 Mg/m³. Number 8: calculated volume 78 Å³/f.u., theoretical density 7.566 Mg/m³.